[1]
Entry from the Materials Project database: a relaxed Fe9Cu3O16 crystal (PBE with a Hubbard U).

POSCAR file:
```
Fe9Cu3O16
1.0
5.8570 0.0000 0.0000
-0.0014 5.8792 0.0000
-0.0005 -0.0639 8.3390
Fe Cu O
9 3 16
direct
0.0000 0.0000 0.0000
0.0001 0.4995 0.9980
0.0009 0.7472 0.6200
0.2506 0.7479 0.2485
0.2544 0.2507 0.7450
0.5004 0.0024 0.4984
0.4999 0.4965 0.4980
0.7471 0.2509 0.7449
0.7497 0.7468 0.2484
0.0004 0.2519 0.3695
0.5002 0.2494 0.1242
0.5000 0.7474 0.8759
0.0010 0.0170 0.7506
0.0017 0.4797 0.7545
0.0020 0.9681 0.2413
0.2268 0.2558 0.9791
0.2274 0.7421 0.0119
0.2709 0.7483 0.4890
0.2785 0.2505 0.5101
0.4992 0.5275 0.2642
0.4996 0.4733 0.7318
0.4999 0.9738 0.2647
0.5006 0.0258 0.7331
0.7229 0.2523 0.5117
0.7299 0.7474 0.4889
0.7720 0.2557 0.9803
0.7716 0.7442 0.0138
0.9994 0.5256 0.2337
```

Summary:
The volume comes out at 287 Å³/f.u. As for the space-group type: P1 (1). The value obtained for the total magnetization is 1.5358 μB/atom. As for the formation enthalpy at 0 K: -1.40 eV/atom. As for the distance to the lowest polymorph of the same formula: 17 meV/atom.

***

[2]
Entry from the Materials Project database: a relaxed Fe9Cu3O16 crystal (PBE with a Hubbard U).

POSCAR file:
```
Fe9Cu3O16
1.0
6.0196 0.0000 0.0000
-0.0623 6.0577 0.0000
-0.1209 -0.0622 8.5172
Fe Cu O
9 3 16
direct
0.0000 0.0000 0.0000
0.0000 0.5000 0.0000
0.0090 0.2449 0.6258
0.2512 0.7467 0.7465
0.4924 0.2533 0.8720
0.5000 0.0000 0.5000
0.5076 0.7467 0.1280
0.7488 0.2533 0.2535
0.9910 0.7551 0.3742
0.2508 0.2527 0.2526
0.5000 0.5000 0.5000
0.7492 0.7473 0.7474
0.0080 0.9874 0.7614
0.0099 0.5076 0.7597
0.2304 0.2511 0.0027
0.2341 0.7513 0.9932
0.2548 0.7619 0.5085
0.2662 0.2446 0.4974
0.4905 0.9913 0.7415
0.4920 0.5140 0.7508
0.5080 0.4860 0.2492
0.5095 0.0087 0.2585
0.7338 0.7554 0.5026
0.7452 0.2381 0.4915
0.7659 0.2487 0.0068
0.7696 0.7489 0.9973
0.9901 0.4924 0.2403
0.9920 0.0126 0.2386
```

Summary:
The volume comes out at 311 Å³/f.u. As for the space-group type: P-1 (2). The value obtained for the total magnetization is 1.5357 μB/atom. As for the formation enthalpy at 0 K: -1.42 eV/atom. As for the distance to the lowest polymorph of the same formula: 0 meV/atom.

***

[3]
Entry from the Materials Project database: a relaxed FeCuO2 crystal (PBE with a Hubbard U).

POSCAR file:
```
FeCuO2
1.0
0.1675 2.4907 1.7751
5.8192 -1.1340 1.0418
2.7924 2.5044 -3.7775
O Cu Fe
4 2 2
direct
0.5000 0.3213 0.3926
0.0000 0.3213 0.8927
0.5000 0.6787 0.6074
0.0000 0.6787 0.1073
0.5000 0.0000 0.5000
0.0000 0.0000 0.0000
0.5000 0.5000 0.0000
0.0000 0.5000 0.5000
```

Summary:
The volume comes out at 47 Å³/f.u. As for the formation enthalpy at 0 K: -1.32 eV/atom.

***

[4]
Entry from the Materials Project database: a relaxed Fe13Cu5O24 crystal (PBE with a Hubbard U).

POSCAR file:
```
Fe13Cu5O24
1.0
6.0104 0.0000 0.0000
-0.1702 6.0654 0.0000
-2.8005 -3.0268 12.6983
Fe Cu O
13 5 24
direct
0.0000 0.0000 0.0000
0.0010 0.0026 0.4964
0.0052 0.5001 0.4995
0.1316 0.8786 0.7446
0.2039 0.4717 0.9169
0.3330 0.3329 0.1638
0.4631 0.1928 0.4106
0.5359 0.7874 0.5831
0.6628 0.1654 0.8291
0.6659 0.6623 0.8313
0.6675 0.6652 0.3275
0.8106 0.5270 0.0803
0.8561 0.1388 0.2476
0.1675 0.6679 0.3299
0.3336 0.8322 0.1631
0.3349 0.3322 0.6642
0.4993 0.9969 0.9977
0.8332 0.3330 0.6643
0.0729 0.1061 0.1589
0.0814 0.0925 0.6572
0.1010 0.5844 0.6570
0.1118 0.5874 0.1708
0.2243 0.2505 0.4864
0.2270 0.2588 0.0046
0.2301 0.7537 0.4908
0.2489 0.7763 0.0019
0.4176 0.8874 0.3250
0.4373 0.9113 0.8376
0.4404 0.4058 0.3226
0.4443 0.4165 0.8415
0.5542 0.0780 0.1563
0.5656 0.0845 0.6714
0.5863 0.5733 0.6711
0.5948 0.5597 0.1686
0.7471 0.2207 0.9903
0.7645 0.7424 0.4932
0.7695 0.2511 0.5027
0.7756 0.7417 0.9916
0.8912 0.9244 0.3360
0.8981 0.4153 0.8246
0.9028 0.9223 0.8350
0.9201 0.4440 0.3382
```

Summary:
The volume comes out at 463 Å³/f.u. As for the space-group type: P1 (1). The value obtained for the total magnetization is 1.4524 μB/atom. As for the formation enthalpy at 0 K: -1.41 eV/atom. As for the distance to the lowest polymorph of the same formula: 0 meV/atom.

***

[5]
Entry from the Materials Project database: a relaxed Fe13Cu5O24 crystal (PBE with a Hubbard U).

POSCAR file:
```
Fe13Cu5O24
1.0
5.8491 0.0000 0.0000
-0.2183 5.9099 0.0000
-2.8073 -2.8525 12.4350
Fe Cu O
13 5 24
direct
0.0000 0.0000 0.0000
0.0031 0.5053 0.5050
0.1152 0.8967 0.7523
0.1761 0.6646 0.3428
0.2266 0.4526 0.9168
0.4479 0.2199 0.4254
0.5003 0.0040 0.9976
0.5654 0.7724 0.5881
0.6680 0.6713 0.3337
0.6771 0.1635 0.8349
0.8088 0.5523 0.0890
0.8394 0.3346 0.6697
0.8778 0.1166 0.2473
0.0065 0.0056 0.5024
0.3390 0.3349 0.6711
0.3387 0.8362 0.1699
0.3402 0.3343 0.1699
0.6728 0.6642 0.8371
0.0555 0.5842 0.6600
0.0747 0.1133 0.6624
0.0810 0.0584 0.1529
0.1074 0.5857 0.1849
0.2238 0.2717 0.5096
0.2429 0.7820 0.9904
0.2502 0.7194 0.4972
0.2557 0.2242 0.0033
0.4045 0.4338 0.3347
0.4150 0.9000 0.3489
0.4302 0.9512 0.8434
0.4561 0.3995 0.8340
0.5720 0.0843 0.1551
0.5866 0.6059 0.1729
0.6040 0.5552 0.6778
0.6241 0.0859 0.6808
0.7428 0.7773 0.9968
0.7582 0.2288 0.9948
0.7580 0.2863 0.5147
0.7862 0.7416 0.4986
0.8979 0.9311 0.8448
0.9219 0.3832 0.8247
0.9332 0.4317 0.3461
0.9488 0.9005 0.3426
```

Summary:
The volume comes out at 430 Å³/f.u. As for the space-group type: P1 (1). The value obtained for the total magnetization is 1.4524 μB/atom. As for the formation enthalpy at 0 K: -1.32 eV/atom. As for the distance to the lowest polymorph of the same formula: 85 meV/atom.

***

[6]
Entry from the Materials Project database: a relaxed FeCu3P4O16 crystal (PBE with a Hubbard U).

POSCAR file:
```
FeCu3P4O16
1.0
5.0874 0.0000 0.0000
0.0000 6.0118 0.0000
-0.3533 0.0000 9.9355
Fe Cu P O
1 3 4 16
direct
0.0000 0.0000 0.0000
0.1702 0.5000 0.5939
0.4131 0.5000 0.0923
0.6802 0.0000 0.4792
0.1359 0.0000 0.6815
0.4826 0.0000 0.1825
0.6121 0.5000 0.3951
0.9718 0.5000 0.8898
0.1906 0.0000 0.8341
0.2760 0.5000 0.9175
0.2776 0.2011 0.6158
0.2776 0.7989 0.6158
0.3142 0.5000 0.4209
0.3173 0.1930 0.1113
0.3173 0.8070 0.1113
0.4373 0.0000 0.3354
0.6451 0.5000 0.2402
0.7672 0.3019 0.4608
0.7672 0.6981 0.4608
0.7735 0.0000 0.1553
0.8342 0.0000 0.6538
0.8401 0.2931 0.9512
0.8401 0.7069 0.9512
0.9340 0.5000 0.7333
```

Summary:
The volume comes out at 304 Å³/f.u. As for the space-group type: Pm (6). The value obtained for the total magnetization is 0.2084 μB/atom. As for the formation enthalpy at 0 K: -1.98 eV/atom.